1.
{
  "formula": "Cu2BiTeSO10",
  "functional": "PBE",
  "state": "relaxed",
  "lattice": [[0.000, -6.106, 0.000], [-9.416, 0.000, 2.127], [-0.084, 0.000, -14.341]],
  "species": ["Cu", "Cu", "Cu", "Cu", "Cu", "Cu", "Cu", "Cu", "Bi", "Bi", "Bi", "Bi", "Te", "Te", "Te", "Te", "S", "S", "S", "S", "O", "O", "O", "O", "O", "O", "O", "O", "O", "O", "O", "O", "O", "O", "O", "O", "O", "O", "O", "O", "O", "O", "O", "O", "O", "O", "O", "O", "O", "O", "O", "O", "O", "O", "O", "O", "O", "O", "O", "O"],
  "frac_coords": [[0.608, 0.246, 0.243], [0.892, 0.746, 0.743], [0.392, 0.754, 0.757], [0.108, 0.254, 0.257], [0.485, 0.347, 0.460], [0.015, 0.847, 0.960], [0.515, 0.653, 0.540], [0.985, 0.153, 0.040], [0.395, 0.021, 0.376], [0.105, 0.521, 0.876], [0.605, 0.979, 0.624], [0.895, 0.479, 0.124], [0.877, 0.923, 0.193], [0.623, 0.423, 0.693], [0.123, 0.077, 0.807], [0.377, 0.577, 0.307], [0.880, 0.790, 0.416], [0.620, 0.290, 0.916], [0.120, 0.210, 0.584], [0.380, 0.710, 0.084], [0.799, 0.648, 0.418], [0.701, 0.148, 0.918], [0.201, 0.352, 0.582], [0.299, 0.852, 0.082], [0.729, 0.859, 0.354], [0.771, 0.359, 0.854], [0.271, 0.141, 0.646], [0.229, 0.641, 0.146], [0.109, 0.118, 0.486], [0.391, 0.618, 0.986], [0.891, 0.882, 0.514], [0.609, 0.382, 0.014], [0.100, 0.784, 0.369], [0.400, 0.284, 0.869], [0.900, 0.216, 0.631], [0.600, 0.716, 0.131], [0.095, 0.053, 0.258], [0.405, 0.553, 0.758], [0.905, 0.947, 0.742], [0.595, 0.447, 0.242], [0.627, 0.039, 0.236], [0.873, 0.539, 0.736], [0.373, 0.961, 0.764], [0.127, 0.461, 0.264], [0.880, 0.975, 0.067], [0.620, 0.475, 0.567], [0.120, 0.025, 0.933], [0.380, 0.525, 0.433], [0.348, 0.220, 0.174], [0.152, 0.720, 0.674], [0.652, 0.780, 0.826], [0.848, 0.280, 0.326], [0.375, 0.246, 0.349], [0.125, 0.746, 0.849], [0.625, 0.754, 0.651], [0.875, 0.254, 0.151], [0.582, 0.175, 0.480], [0.918, 0.675, 0.980], [0.418, 0.825, 0.520], [0.082, 0.325, 0.020]],
  "delta_e_f_mev_per_atom": -1287,
  "sg": "No. 14",
  "total_magnetization_mub_per_fu": 1.001
}

2.
{
  "formula": "Cu2Bi3Sb3O14",
  "functional": "PBE",
  "state": "relaxed",
  "lattice": [[6.260, -3.761, 0.000], [6.260, 3.761, 0.000], [4.000, 0.000, 6.110]],
  "species": ["Cu", "Cu", "Bi", "Bi", "Bi", "Sb", "Sb", "Sb", "O", "O", "O", "O", "O", "O", "O", "O", "O", "O", "O", "O", "O", "O"],
  "frac_coords": [[0.500, 0.500, 0.500], [0.000, 0.000, 0.000], [0.000, 0.500, 0.500], [0.500, 0.500, 0.000], [0.500, 0.000, 0.500], [0.500, 0.000, 0.000], [0.000, 0.000, 0.500], [0.000, 0.500, 0.000], [0.929, 0.322, 0.322], [0.336, 0.916, 0.916], [0.322, 0.322, 0.929], [0.916, 0.916, 0.336], [0.916, 0.336, 0.916], [0.322, 0.929, 0.322], [0.071, 0.678, 0.678], [0.664, 0.084, 0.084], [0.678, 0.678, 0.071], [0.084, 0.084, 0.664], [0.084, 0.664, 0.084], [0.678, 0.071, 0.678], [0.391, 0.391, 0.391], [0.609, 0.609, 0.609]],
  "delta_e_f_mev_per_atom": -1644,
  "sg": "No. 166",
  "total_magnetization_mub_per_fu": 2.000
}

3.
{
  "formula": "CuBi2Se2O",
  "functional": "PBE",
  "state": "relaxed",
  "lattice": [[3.147, 0.000, 0.000], [0.000, 3.147, 0.000], [0.000, 0.000, 15.552]],
  "species": ["Cu", "Bi", "Bi", "Se", "Se", "O"],
  "frac_coords": [[0.500, 0.500, 0.000], [0.500, 0.500, 0.634], [0.500, 0.500, 0.366], [0.500, 0.500, 0.146], [0.500, 0.500, 0.854], [0.500, 0.500, 0.500]],
  "delta_e_f_mev_per_atom": -132,
  "sg": "No. 123",
  "total_magnetization_mub_per_fu": 0.003
}

4.
{
  "formula": "CuBiSeO",
  "functional": "PBE",
  "state": "relaxed",
  "lattice": [[3.950, 0.000, 0.000], [0.000, 3.950, 0.000], [0.000, 0.000, 9.068]],
  "species": ["Cu", "Cu", "Bi", "Bi", "Se", "Se", "O", "O"],
  "frac_coords": [[0.000, 0.000, 0.500], [0.500, 0.500, 0.500], [0.000, 0.500, 0.860], [0.500, 0.000, 0.140], [0.500, 0.000, 0.673], [0.000, 0.500, 0.327], [0.500, 0.500, 0.000], [0.000, 0.000, 0.000]],
  "delta_e_f_mev_per_atom": -833,
  "sg": "No. 129",
  "polymorph_energy_kj_per_mol_atoms": 0.0,
  "total_magnetization_mub_per_fu": 0.001
}

5.
{
  "formula": "CuBi2Se4O12",
  "functional": "PBE",
  "state": "relaxed",
  "lattice": [[-0.682, -2.050, -7.144], [-1.255, -7.737, 2.340], [-10.563, -1.853, 1.540]],
  "species": ["Cu", "Cu", "Bi", "Bi", "Bi", "Bi", "Se", "Se", "Se", "Se", "Se", "Se", "Se", "Se", "O", "O", "O", "O", "O", "O", "O", "O", "O", "O", "O", "O", "O", "O", "O", "O", "O", "O", "O", "O", "O", "O", "O", "O"],
  "frac_coords": [[0.000, 0.000, 0.000], [0.500, 0.500, 0.000], [0.885, 0.748, 0.399], [0.385, 0.752, 0.601], [0.115, 0.252, 0.601], [0.615, 0.248, 0.399], [0.828, 0.855, 0.687], [0.166, 0.389, 0.869], [0.672, 0.355, 0.687], [0.334, 0.889, 0.869], [0.328, 0.645, 0.313], [0.172, 0.145, 0.313], [0.834, 0.611, 0.131], [0.666, 0.111, 0.131], [0.726, 0.022, 0.295], [0.855, 0.420, 0.577], [0.145, 0.580, 0.423], [0.517, 0.306, 0.588], [0.226, 0.478, 0.705], [0.774, 0.522, 0.295], [0.645, 0.920, 0.577], [0.890, 0.813, 0.147], [0.115, 0.940, 0.311], [0.274, 0.978, 0.705], [0.138, 0.825, 0.957], [0.362, 0.325, 0.957], [0.885, 0.060, 0.689], [0.110, 0.187, 0.853], [0.390, 0.687, 0.853], [0.355, 0.080, 0.423], [0.610, 0.313, 0.147], [0.483, 0.694, 0.412], [0.017, 0.194, 0.412], [0.983, 0.806, 0.588], [0.615, 0.560, 0.689], [0.638, 0.675, 0.043], [0.862, 0.175, 0.043], [0.385, 0.440, 0.311]],
  "delta_e_f_mev_per_atom": -1363,
  "sg": "No. 14",
  "total_magnetization_mub_per_fu": 1.000
}

6.
{
  "formula": "CuBiSeO",
  "functional": "PBE",
  "state": "relaxed",
  "lattice": [[-1.160, -3.825, -0.783], [3.020, -1.071, 0.761], [-1.938, -0.766, 6.613]],
  "species": ["Cu", "Bi", "Se", "O"],
  "frac_coords": [[0.250, 0.750, 0.543], [0.750, 0.750, 0.953], [0.750, 0.750, 0.373], [0.250, 0.750, 0.818]],
  "delta_e_f_mev_per_atom": -490,
  "sg": "No. 25",
  "polymorph_energy_kj_per_mol_atoms": 33.1,
  "total_magnetization_mub_per_fu": 0.000
}

7.
{
  "formula": "CuBi2Se4O12",
  "functional": "PBE",
  "state": "relaxed",
  "lattice": [[16.317, 0.000, 0.000], [0.000, 4.483, 0.000], [0.000, 0.779, 8.290]],
  "species": ["Cu", "Cu", "Bi", "Bi", "Bi", "Bi", "Se", "Se", "Se", "Se", "Se", "Se", "Se", "Se", "O", "O", "O", "O", "O", "O", "O", "O", "O", "O", "O", "O", "O", "O", "O", "O", "O", "O", "O", "O", "O", "O", "O", "O"],
  "frac_coords": [[0.000, 0.000, 0.000], [0.500, 0.000, 0.500], [0.272, 0.501, 0.532], [0.728, 0.499, 0.468], [0.772, 0.499, 0.968], [0.228, 0.501, 0.032], [0.429, 0.553, 0.255], [0.130, 0.979, 0.363], [0.929, 0.447, 0.245], [0.071, 0.553, 0.755], [0.870, 0.021, 0.637], [0.630, 0.021, 0.137], [0.571, 0.447, 0.745], [0.370, 0.979, 0.863], [0.177, 0.469, 0.757], [0.349, 0.596, 0.878], [0.278, 0.052, 0.967], [0.849, 0.404, 0.622], [0.851, 0.921, 0.836], [0.651, 0.404, 0.122], [0.475, 0.207, 0.284], [0.572, 0.328, 0.553], [0.649, 0.921, 0.336], [0.025, 0.207, 0.784], [0.323, 0.469, 0.257], [0.351, 0.079, 0.664], [0.222, 0.052, 0.467], [0.928, 0.328, 0.053], [0.151, 0.596, 0.378], [0.722, 0.948, 0.033], [0.677, 0.531, 0.743], [0.823, 0.531, 0.243], [0.525, 0.793, 0.716], [0.428, 0.672, 0.447], [0.149, 0.079, 0.164], [0.072, 0.672, 0.947], [0.778, 0.948, 0.533], [0.975, 0.793, 0.216]],
  "delta_e_f_mev_per_atom": -1362,
  "sg": "No. 14",
  "total_magnetization_mub_per_fu": 1.000
}

8.
{
  "formula": "YCu2Bi2Se2O4",
  "functional": "PBE",
  "state": "relaxed",
  "lattice": [[-1.952, 1.952, 12.487], [1.952, -1.952, 12.487], [1.952, 1.952, -12.487]],
  "species": ["Y", "Cu", "Cu", "Bi", "Bi", "Se", "Se", "O", "O", "O", "O"],
  "frac_coords": [[0.000, 0.000, 0.000], [0.750, 0.250, 0.500], [0.250, 0.750, 0.500], [0.399, 0.399, 0.000], [0.601, 0.601, 0.000], [0.811, 0.811, 0.000], [0.189, 0.189, 0.000], [0.056, 0.556, 0.500], [0.444, 0.944, 0.500], [0.556, 0.056, 0.500], [0.944, 0.444, 0.500]],
  "delta_e_f_mev_per_atom": -1652,
  "sg": "No. 139"
}

| no. | E (eV/atom) |
| --- | --- |
| 1 | -5.419 |
| 2 | -5.821 |
| 3 | -3.987 |
| 4 | -4.769 |
| 5 | -5.415 |
| 6 | -4.426 |
| 7 | -5.414 |
| 8 | -5.877 |